First-principles (PBE) data for an optimized crystal structure of ErCoC2, as listed in the Materials Project database.

Raw total energy, eV per atom: -7.891
ρ, g/cm³: 8.803
Crystal system: orthorhombic

Unit cell a=3.511 b=4.499 c=5.975 alpha=90.00 beta=90.00 gamma=90.00
Space group Amm2 (No. 38)
Unique sites:
1 Er 0.000 0.000 0.000
2 Co 0.500 0.000 0.383
3 C 0.500 0.153 0.694